[1]
A plane-wave DFT calculation with meta-GGA r2SCAN was carried out for a geometry-optimized Tb2NiAs2 structure.

Calculated values
Energy of formation from the pure elements (eV per atom): -1.425
Calculated total energy (eV per atom): -22.1949
Space group: P6_3/mmc (194)

Cell and atoms, written as POSCAR:
```
Tb2NiAs2
1.0
4.0886 0.0000 0.0000
-2.0443 3.5408 0.0000
0.0000 0.0000 14.3307
Tb Ni As
4 2 4
direct
0.3333 0.6667 0.1176
0.3333 0.6667 0.3824
0.6667 0.3333 0.6176
0.6667 0.3333 0.8824
0.0000 0.0000 0.2500
0.0000 0.0000 0.7500
0.0000 0.0000 0.0000
0.0000 0.0000 0.5000
0.3333 0.6667 0.7500
0.6667 0.3333 0.2500
```

***

[2]
A plane-wave DFT calculation with meta-GGA r2SCAN was carried out for a geometry-optimized TmNiAs structure.

Calculated values
Energy of formation from the pure elements (eV per atom): -1.144
Calculated total energy (eV per atom): -21.7469
Space group: P-6m2 (187)

Cell and atoms, written as POSCAR:
```
TmNiAs
1.0
3.9763 0.0000 0.0000
-1.9882 3.4436 0.0000
0.0000 0.0000 3.8496
Tm Ni As
1 1 1
direct
0.0000 0.0000 0.0000
0.3333 0.6667 0.5000
0.6667 0.3333 0.5000
```

***

[3]
A plane-wave DFT calculation with meta-GGA r2SCAN was carried out for a geometry-optimized TmNi4As2 structure.

Calculated values
Energy of formation from the pure elements (eV per atom): -0.646
Calculated total energy (eV per atom): -16.7119
Space group: P4_2/mnm (136)

Cell and atoms, written as POSCAR:
```
TmNi4As2
1.0
7.1637 0.0000 0.0000
0.0000 7.1637 0.0000
0.0000 0.0000 3.7190
Tm Ni As
2 8 4
direct
0.0000 0.0000 0.0000
0.5000 0.5000 0.5000
0.0875 0.3453 0.5000
0.1547 0.5875 0.0000
0.3453 0.0875 0.5000
0.4125 0.8453 0.0000
0.5875 0.1547 0.0000
0.6547 0.9125 0.5000
0.8453 0.4125 0.0000
0.9125 0.6547 0.5000
0.2182 0.7818 0.5000
0.2818 0.2818 0.0000
0.7182 0.7182 0.0000
0.7818 0.2182 0.5000
```

***

[4]
A plane-wave DFT calculation with meta-GGA r2SCAN was carried out for a geometry-optimized Tm2NiAs2 structure.

Calculated values
Energy of formation from the pure elements (eV per atom): -1.389
Calculated total energy (eV per atom): -23.7168
Space group: P6_3/mmc (194)

Cell and atoms, written as POSCAR:
```
Tm2NiAs2
1.0
4.0429 0.0000 0.0000
-2.0214 3.5012 0.0000
0.0000 0.0000 13.9253
Tm Ni As
4 2 4
direct
0.3333 0.6667 0.1176
0.3333 0.6667 0.3824
0.6667 0.3333 0.6176
0.6667 0.3333 0.8824
0.0000 0.0000 0.2500
0.0000 0.0000 0.7500
0.0000 0.0000 0.0000
0.0000 0.0000 0.5000
0.3333 0.6667 0.7500
0.6667 0.3333 0.2500
```

***

[5]
A plane-wave DFT calculation with meta-GGA r2SCAN was carried out for a geometry-optimized TmNiAs structure.

Calculated values
Energy of formation from the pure elements (eV per atom): -1.157
Calculated total energy (eV per atom): -21.7607
Space group: P6_3/mmc (194)

Cell and atoms, written as POSCAR:
```
TmNiAs
1.0
4.0026 0.0000 0.0000
-2.0013 3.4663 0.0000
0.0000 0.0000 15.0162
Tm Ni As
4 4 4
direct
0.0000 0.0000 0.0000
0.0000 0.0000 0.2500
0.0000 0.0000 0.5000
0.0000 0.0000 0.7500
0.3333 0.6667 0.1360
0.3333 0.6667 0.3640
0.6667 0.3333 0.6360
0.6667 0.3333 0.8640
0.3333 0.6667 0.6200
0.3333 0.6667 0.8800
0.6667 0.3333 0.1200
0.6667 0.3333 0.3800
```

***

[6]
A plane-wave DFT calculation with meta-GGA r2SCAN was carried out for a geometry-optimized Tm2NiAs2 structure.

Calculated values
Energy of formation from the pure elements (eV per atom): -1.389
Calculated total energy (eV per atom): -23.7168
Space group: P6_3mc (186)

Cell and atoms, written as POSCAR:
```
Tm2NiAs2
1.0
4.0408 0.0000 0.0000
-2.0204 3.4995 0.0000
0.0000 0.0000 13.9488
Tm Ni As
4 2 4
direct
0.3333 0.6667 0.0000
0.3333 0.6667 0.2649
0.6667 0.3333 0.5000
0.6667 0.3333 0.7649
0.0000 0.0000 0.1295
0.0000 0.0000 0.6295
0.0000 0.0000 0.3826
0.0000 0.0000 0.8826
0.3333 0.6667 0.6334
0.6667 0.3333 0.1334
```

***

[7]
A plane-wave DFT calculation with meta-GGA r2SCAN was carried out for a geometry-optimized UNiAs2 structure.

Calculated values
Energy of formation from the pure elements (eV per atom): -0.757
Calculated total energy (eV per atom): -31.0914
Space group: P4/nmm (129)

Cell and atoms, written as POSCAR:
```
UNiAs2
1.0
4.0055 0.0000 0.0000
0.0000 4.0055 0.0000
0.0000 0.0000 9.0619
U Ni As
2 2 4
direct
0.2500 0.2500 0.2504
0.7500 0.7500 0.7496
0.2500 0.7500 0.0000
0.7500 0.2500 0.0000
0.2500 0.2500 0.8498
0.2500 0.7500 0.5000
0.7500 0.2500 0.5000
0.7500 0.7500 0.1502
```

***

[8]
A plane-wave DFT calculation with meta-GGA r2SCAN was carried out for a geometry-optimized UNiAs structure.

Calculated values
Energy of formation from the pure elements (eV per atom): -0.809
Calculated total energy (eV per atom): -36.3528
Space group: P6_3/mmc (194)

Cell and atoms, written as POSCAR:
```
UNiAs
1.0
4.0589 0.0000 0.0000
-2.0294 3.5151 0.0000
0.0000 0.0000 15.6027
U Ni As
4 4 4
direct
0.0000 0.0000 0.0000
0.0000 0.0000 0.2500
0.0000 0.0000 0.5000
0.0000 0.0000 0.7500
0.3333 0.6667 0.1545
0.3333 0.6667 0.3455
0.6667 0.3333 0.6545
0.6667 0.3333 0.8455
0.3333 0.6667 0.6193
0.3333 0.6667 0.8807
0.6667 0.3333 0.1193
0.6667 0.3333 0.3807
```

***

[9]
A plane-wave DFT calculation with meta-GGA r2SCAN was carried out for a geometry-optimized YNiAs structure.

Calculated values
Energy of formation from the pure elements (eV per atom): -1.165
Calculated total energy (eV per atom): -16.8326
Space group: P-6m2 (187)

Cell and atoms, written as POSCAR:
```
YNiAs
1.0
4.0086 0.0000 0.0000
-2.0043 3.4716 0.0000
0.0000 0.0000 3.9361
Y Ni As
1 1 1
direct
0.0000 0.0000 0.0000
0.6667 0.3333 0.5000
0.3333 0.6667 0.5000
```

***

[10]
A plane-wave DFT calculation with meta-GGA r2SCAN was carried out for a geometry-optimized YbNiAs structure.

Calculated values
Energy of formation from the pure elements (eV per atom): -1.152
Calculated total energy (eV per atom): -22.2248
Space group: P6_3/mmc (194)

Cell and atoms, written as POSCAR:
```
YbNiAs
1.0
3.9949 0.0000 0.0000
-1.9974 3.4597 0.0000
0.0000 0.0000 14.9393
Yb Ni As
4 4 4
direct
0.0000 0.0000 0.0000
0.0000 0.0000 0.2500
0.0000 0.0000 0.5000
0.0000 0.0000 0.7500
0.3333 0.6667 0.1365
0.3333 0.6667 0.3635
0.6667 0.3333 0.6365
0.6667 0.3333 0.8635
0.3333 0.6667 0.6199
0.3333 0.6667 0.8801
0.6667 0.3333 0.1199
0.6667 0.3333 0.3801
```

***

[11]
A plane-wave DFT calculation with meta-GGA r2SCAN was carried out for a geometry-optimized Yb2NiAs2 structure.

Calculated values
Energy of formation from the pure elements (eV per atom): -1.382
Calculated total energy (eV per atom): -24.2728
Space group: P6_3mc (186)

Cell and atoms, written as POSCAR:
```
Yb2NiAs2
1.0
4.0353 0.0000 0.0000
-2.0177 3.4947 0.0000
0.0000 0.0000 13.8533
Yb Ni As
4 2 4
direct
0.3333 0.6667 0.0000
0.3333 0.6667 0.2646
0.6667 0.3333 0.5000
0.6667 0.3333 0.7646
0.0000 0.0000 0.1381
0.0000 0.0000 0.6381
0.0000 0.0000 0.3822
0.0000 0.0000 0.8822
0.3333 0.6667 0.6307
0.6667 0.3333 0.1307
```

***

[12]
A plane-wave DFT calculation with meta-GGA r2SCAN was carried out for a geometry-optimized Zr4Ni3As8 structure.

Calculated values
Energy of formation from the pure elements (eV per atom): -0.845
Calculated total energy (eV per atom): -17.1525
Space group: P-4m2 (115)

Cell and atoms, written as POSCAR:
```
Zr4Ni3As8
1.0
3.8063 0.0000 0.0000
0.0000 3.8063 0.0000
0.0000 0.0000 17.6497
Zr Ni As
4 3 8
direct
0.0000 0.5000 0.1231
0.0000 0.5000 0.6337
0.5000 0.0000 0.3663
0.5000 0.0000 0.8769
0.0000 0.0000 0.5000
0.5000 0.5000 0.0000
0.5000 0.5000 0.5000
0.0000 0.0000 0.2446
0.0000 0.0000 0.7554
0.0000 0.5000 0.4197
0.0000 0.5000 0.9298
0.5000 0.0000 0.0702
0.5000 0.0000 0.5803
0.5000 0.5000 0.2446
0.5000 0.5000 0.7554
```

***

What did the eighth record say?
A plane-wave DFT calculation with meta-GGA r2SCAN was carried out for a geometry-optimized UNiAs structure.

Calculated values
Energy of formation from the pure elements (eV per atom): -0.809
Calculated total energy (eV per atom): -36.3528
Space group: P6_3/mmc (194)

Cell and atoms, written as POSCAR:
```
UNiAs
1.0
4.0589 0.0000 0.0000
-2.0294 3.5151 0.0000
0.0000 0.0000 15.6027
U Ni As
4 4 4
direct
0.0000 0.0000 0.0000
0.0000 0.0000 0.2500
0.0000 0.0000 0.5000
0.0000 0.0000 0.7500
0.3333 0.6667 0.1545
0.3333 0.6667 0.3455
0.6667 0.3333 0.6545
0.6667 0.3333 0.8455
0.3333 0.6667 0.6193
0.3333 0.6667 0.8807
0.6667 0.3333 0.1193
0.6667 0.3333 0.3807
```

***

Look up the energy of formation from the pure elements of the sixth one. -1.389 eV per atom

***

The lowest calculated total energy belongs to which entry? UNiAs